The following is a PBE calculation of an optimized crystal structure of Na2La2Ga2SiS5O24, from the Materials Project database.

```
Na2La2Ga2SiS5O24
1.0
8.988 0.058 -0.043
-4.444 7.704 0.062
-0.111 0.115 23.992
Ga O Na La S Si
6 72 6 6 15 3
Direct
0.656 0.321 0.176
0.006 0.986 0.161
0.669 0.333 0.993
0.335 0.662 0.016
0.333 0.694 0.312
0.991 0.001 0.836
0.809 0.808 0.927
0.873 0.309 0.631
0.011 0.798 0.712
0.523 0.667 0.244
0.460 0.106 0.531
0.147 0.462 0.977
0.508 0.831 0.758
0.134 0.502 0.586
0.532 0.854 0.355
0.086 0.465 0.877
0.490 0.373 0.394
0.199 0.191 0.814
0.696 0.151 0.031
0.792 0.748 0.291
0.631 0.117 0.131
0.545 0.886 0.457
0.801 0.984 0.404
0.952 0.205 0.291
0.154 0.470 0.243
0.129 0.638 0.077
0.331 0.825 0.253
0.878 0.341 0.530
0.179 0.218 0.402
0.694 0.552 0.642
0.294 0.454 0.760
0.325 0.491 0.350
0.505 0.170 0.228
0.871 0.506 0.133
0.506 0.864 0.074
0.145 0.676 0.356
0.195 0.030 0.575
0.874 0.502 0.401
0.538 0.684 0.975
0.488 0.374 0.132
0.021 0.200 0.192
0.636 0.134 0.396
0.362 0.501 0.073
0.791 0.004 0.703
0.459 0.309 0.032
0.448 0.124 0.633
0.848 0.544 0.033
0.203 0.191 0.711
0.127 0.654 0.459
0.206 0.186 0.089
0.379 0.922 0.877
0.019 0.814 0.410
0.852 0.351 0.940
0.324 0.849 0.589
0.258 0.052 0.301
0.500 0.658 0.593
0.173 0.959 0.193
0.009 0.195 0.926
0.137 0.664 0.765
0.011 0.194 0.573
0.848 0.330 0.224
0.687 0.178 0.767
0.019 0.813 0.815
0.312 0.849 0.976
0.651 0.495 0.942
0.834 0.826 0.573
0.687 0.520 0.226
0.818 0.019 0.090
0.463 0.311 0.766
0.188 0.997 0.925
0.547 0.619 0.877
0.344 0.474 0.453
0.971 0.795 0.091
0.785 0.818 0.192
0.796 0.990 0.819
0.641 0.526 0.527
0.497 0.150 0.942
0.830 0.546 0.769
0.641 0.313 0.319
0.999 0.000 0.000
0.382 0.691 0.672
0.330 0.674 0.170
0.670 0.321 0.840
0.990 0.987 0.502
0.015 0.000 0.336
0.358 0.671 0.521
0.970 0.982 0.648
0.352 0.679 0.827
0.670 0.329 0.691
0.659 0.343 0.476
0.024 0.366 0.929
0.997 0.704 0.764
0.290 0.287 0.761
0.955 0.621 0.084
0.378 0.339 0.082
0.341 0.980 0.930
0.639 0.655 0.931
0.335 0.390 0.400
0.357 0.029 0.582
0.995 0.303 0.238
0.042 0.660 0.407
0.628 0.965 0.403
0.695 0.687 0.239
0.973 0.337 0.580
0.664 0.038 0.082
0.669 0.637 0.585
0.318 0.004 0.243
0.698 0.004 0.760
```

Corrected total energy (MP2020 scheme): -6.9027 eV per atom
Energy relative to the elements: -2363 meV per atom

***

The following is a PBE calculation of an optimized crystal structure of Na14La4Ga4Si7S5O48, from the Materials Project database.

```
Na14La4Ga4Si7S5O48
1.0
-11.130 -14.908 1.185
5.502 1.129 -7.431
16.661 -11.521 10.544
S O Na Si La Ga
15 144 42 21 12 12
Direct
0.012 0.707 0.760
0.503 0.345 0.915
0.331 0.605 0.583
0.687 0.048 0.575
0.196 0.052 0.586
0.834 0.631 0.575
0.695 0.341 0.086
0.994 0.300 0.257
0.013 0.349 0.906
0.512 0.314 0.261
0.335 0.038 0.074
0.002 0.661 0.416
0.508 0.672 0.411
0.492 0.684 0.754
0.189 0.328 0.074
0.742 0.348 0.032
0.828 0.536 0.521
0.613 0.188 0.082
0.254 0.165 0.922
0.055 0.683 0.467
0.928 0.519 0.148
0.073 0.498 0.578
0.256 0.632 0.862
0.409 0.017 0.070
0.166 0.501 0.762
0.105 0.260 0.686
0.639 0.401 0.480
0.644 0.465 0.754
0.508 0.218 0.314
0.728 0.134 0.629
0.425 0.338 0.650
0.353 0.187 0.428
0.253 0.901 0.382
0.559 0.435 0.964
0.908 0.801 0.571
0.988 0.167 0.571
0.062 0.420 0.960
0.424 0.359 0.529
0.074 0.651 0.091
0.357 0.532 0.264
0.687 0.491 0.088
0.378 0.959 0.692
0.411 0.834 0.305
0.736 0.336 0.141
0.091 0.013 0.900
0.637 0.865 0.971
0.039 0.635 0.363
0.241 0.141 0.533
0.915 0.304 0.255
0.191 0.888 0.588
0.857 0.180 0.763
0.991 0.204 0.311
0.337 0.169 0.751
0.935 0.331 0.639
0.749 0.874 0.088
0.486 0.810 0.071
0.407 0.021 0.809
0.492 0.175 0.913
0.684 0.910 0.861
0.683 0.885 0.576
0.085 0.153 0.408
0.333 0.505 0.918
0.328 0.120 0.020
0.609 0.219 0.685
0.476 0.170 0.581
0.141 0.823 0.253
0.107 0.005 0.186
0.082 0.003 0.304
0.790 0.868 0.478
0.413 0.519 0.752
0.994 0.812 0.413
0.232 0.165 0.263
0.422 0.528 0.416
0.825 0.145 0.020
0.058 0.459 0.856
0.664 0.823 0.265
0.600 0.017 0.305
0.580 0.160 0.801
0.570 0.497 0.589
0.563 0.655 0.758
0.838 0.548 0.629
0.536 0.436 0.860
0.752 0.658 0.261
0.603 0.030 0.570
0.557 0.697 0.465
0.515 0.229 0.208
0.431 0.539 0.139
0.747 0.181 0.926
0.237 0.143 0.641
0.418 0.325 0.922
0.387 0.782 0.188
0.753 0.340 0.423
0.016 0.796 0.705
0.905 0.785 0.310
0.917 0.513 0.422
0.930 0.329 0.910
0.931 0.502 0.027
0.112 0.034 0.583
0.502 0.779 0.700
0.012 0.798 0.812
0.589 0.168 0.403
0.088 0.690 0.761
0.757 0.854 0.754
0.106 0.179 0.070
0.145 0.417 0.476
0.005 0.181 0.900
0.921 0.330 0.520
0.581 0.018 0.905
0.138 0.871 0.977
0.915 0.992 0.404
0.420 0.514 0.020
0.923 0.835 0.906
0.913 0.033 0.076
0.438 0.335 0.262
0.106 0.177 0.800
0.486 0.772 0.806
0.758 0.647 0.581
0.185 0.483 0.075
0.192 0.467 0.365
0.250 0.334 0.742
0.884 0.992 0.685
0.878 0.803 0.194
0.733 0.300 0.762
0.753 0.874 0.366
0.006 0.226 0.204
0.839 0.503 0.247
0.850 0.510 0.932
0.404 0.774 0.578
0.252 0.838 0.760
0.759 0.599 0.875
0.918 0.992 0.800
0.236 0.327 0.021
0.801 0.724 0.981
0.303 0.883 0.486
0.834 0.160 0.418
0.188 0.872 0.866
0.734 0.144 0.522
0.744 0.162 0.247
0.415 0.837 0.904
0.600 0.942 0.191
0.323 0.511 0.529
0.502 0.825 0.404
0.254 0.622 0.588
0.687 0.506 0.370
0.231 0.325 0.128
0.831 0.156 0.143
0.338 0.128 0.128
0.588 0.481 0.263
0.334 0.521 0.637
0.980 0.790 0.080
0.549 0.643 0.360
0.420 0.999 0.406
0.255 0.652 0.252
0.287 0.712 0.976
0.065 0.472 0.261
0.251 0.315 0.430
0.570 0.649 0.080
0.259 0.869 0.080
0.939 0.539 0.761
0.346 0.670 0.403
0.675 0.321 0.905
0.316 0.641 0.752
0.671 0.033 0.396
0.666 0.646 0.675
0.813 0.994 0.235
0.994 0.681 0.929
0.996 0.009 0.491
0.826 0.336 0.843
0.337 0.698 0.076
0.496 0.349 0.749
0.837 0.663 0.406
0.500 0.987 0.992
0.008 0.354 0.759
0.838 0.721 0.076
0.154 0.640 0.675
0.185 0.010 0.770
0.985 0.981 0.996
0.329 0.322 0.341
0.169 0.306 0.899
0.491 0.694 0.926
0.132 0.941 0.086
0.510 0.658 0.253
0.501 0.019 0.489
0.990 0.287 0.421
0.338 0.010 0.912
0.994 0.639 0.240
0.140 0.333 0.581
0.634 0.331 0.584
0.164 0.686 0.173
0.688 0.015 0.772
0.185 0.359 0.272
0.838 0.977 0.576
0.664 0.686 0.167
0.690 0.362 0.260
0.844 0.032 0.924
0.829 0.324 0.329
0.338 0.973 0.578
0.647 0.954 0.086
0.329 0.332 0.834
0.496 0.305 0.415
0.170 0.028 0.395
0.976 0.607 0.086
0.156 0.316 0.748
0.834 0.668 0.924
0.833 0.062 0.082
0.653 0.990 0.252
0.334 0.993 0.426
0.643 0.289 0.751
0.979 0.336 0.577
0.323 0.674 0.916
0.141 0.999 0.251
0.354 0.704 0.253
0.667 0.354 0.418
0.168 0.337 0.420
0.664 0.996 0.916
0.473 0.346 0.587
0.346 0.999 0.754
0.847 0.689 0.253
0.477 0.622 0.077
0.824 0.972 0.417
0.855 0.002 0.752
0.167 0.980 0.916
0.998 0.013 0.652
0.336 0.332 0.192
0.168 0.664 0.511
0.499 0.985 0.151
0.836 0.337 0.692
0.992 0.997 0.146
0.659 0.651 0.510
0.681 0.671 0.824
0.671 0.687 0.014
0.180 0.690 0.321
0.157 0.664 0.011
0.495 0.001 0.650
0.335 0.319 0.482
0.333 0.316 0.692
0.189 0.690 0.819
0.835 0.339 0.987
0.692 0.689 0.319
0.835 0.337 0.184
0.994 0.984 0.348
0.833 0.314 0.474
0.004 0.995 0.847
0.504 0.006 0.346
0.496 0.006 0.850
0.333 0.352 0.975
```

Corrected total energy (MP2020 scheme): -6.8205 eV per atom
Energy relative to the elements: -2594 meV per atom

***

Question: Which of these has the highest energy relative to the elements?
Answer: Na2La2Ga2SiS5O24

***

Question: Which value of corrected total energy (MP2020 scheme) does entry 1 give?
Answer: -6.9027 eV per atom